This record from the Materials Project describes Na12Mg2Ta4Si9O36 after structural relaxation. The functional is PBE.

```
data_Na12Mg2Ta4Si9O36
_symmetry_space_group_name_H-M 'P 1'
_symmetry_Int_Tables_number 1
_symmetry_space_group_name_Hall 'P 1'
_cell_length_a 9.134
_cell_length_b 9.134
_cell_length_c 22.330
_cell_angle_alpha 90.00
_cell_angle_beta 90.00
_cell_angle_gamma 120.00
loop_
_atom_site_label
_atom_site_type_symbol
_atom_site_fract_x
_atom_site_fract_y
_atom_site_fract_z
Na1 Na 0.000 0.000 0.076
Na2 Na 0.000 0.000 0.576
Na3 Na 0.053 0.351 0.161
Na4 Na 0.053 0.702 0.661
Na5 Na 0.298 0.351 0.661
Na6 Na 0.298 0.947 0.161
Na7 Na 0.312 0.025 0.500
Na8 Na 0.312 0.287 0.000
Na9 Na 0.333 0.667 0.247
Na10 Na 0.333 0.667 0.747
Na11 Na 0.357 0.001 0.842
Na12 Na 0.357 0.356 0.342
Na13 Na 0.644 0.001 0.342
Na14 Na 0.644 0.643 0.842
Na15 Na 0.649 0.702 0.161
Na16 Na 0.649 0.947 0.661
Na17 Na 0.667 0.333 0.422
Na18 Na 0.667 0.333 0.922
Na19 Na 0.713 0.025 0.000
Na20 Na 0.713 0.688 0.500
Na21 Na 0.975 0.287 0.500
Na22 Na 0.975 0.688 0.000
Na23 Na 0.999 0.356 0.842
Na24 Na 0.999 0.643 0.342
Mg1 Mg 0.000 0.000 0.439
Mg2 Mg 0.000 0.000 0.939
Mg3 Mg 0.333 0.667 0.106
Mg4 Mg 0.333 0.667 0.606
Ta1 Ta 0.000 0.000 0.234
Ta2 Ta 0.000 0.000 0.734
Ta3 Ta 0.333 0.667 0.403
Ta4 Ta 0.333 0.667 0.903
Ta5 Ta 0.667 0.333 0.065
Ta6 Ta 0.667 0.333 0.273
Ta7 Ta 0.667 0.333 0.565
Ta8 Ta 0.667 0.333 0.773
Si1 Si 0.000 0.292 0.339
Si2 Si 0.000 0.708 0.839
Si3 Si 0.042 0.374 0.008
Si4 Si 0.042 0.668 0.508
Si5 Si 0.292 0.000 0.339
Si6 Si 0.292 0.292 0.839
Si7 Si 0.332 0.374 0.508
Si8 Si 0.332 0.958 0.008
Si9 Si 0.374 0.043 0.670
Si10 Si 0.374 0.331 0.170
Si11 Si 0.626 0.668 0.008
Si12 Si 0.626 0.958 0.508
Si13 Si 0.669 0.043 0.170
Si14 Si 0.669 0.626 0.670
Si15 Si 0.708 0.000 0.839
Si16 Si 0.708 0.708 0.339
Si17 Si 0.957 0.331 0.670
Si18 Si 0.957 0.626 0.170
O1 O 0.013 0.186 0.999
O2 O 0.013 0.826 0.499
O3 O 0.030 0.198 0.280
O4 O 0.030 0.832 0.780
O5 O 0.136 0.500 0.947
O6 O 0.136 0.636 0.447
O7 O 0.140 0.496 0.671
O8 O 0.140 0.645 0.171
O9 O 0.154 0.459 0.066
O10 O 0.154 0.694 0.566
O11 O 0.168 0.198 0.780
O12 O 0.168 0.970 0.280
O13 O 0.173 0.482 0.342
O14 O 0.173 0.691 0.842
O15 O 0.174 0.186 0.499
O16 O 0.174 0.987 0.999
O17 O 0.189 0.035 0.677
O18 O 0.189 0.154 0.177
O19 O 0.219 0.044 0.397
O20 O 0.219 0.174 0.897
O21 O 0.306 0.459 0.566
O22 O 0.306 0.846 0.066
O23 O 0.309 0.482 0.842
O24 O 0.309 0.827 0.342
O25 O 0.355 0.496 0.171
O26 O 0.355 0.860 0.671
O27 O 0.364 0.500 0.447
O28 O 0.364 0.864 0.947
O29 O 0.469 0.170 0.613
O30 O 0.469 0.299 0.113
O31 O 0.486 0.162 0.329
O32 O 0.486 0.323 0.829
O33 O 0.492 0.146 0.729
O34 O 0.492 0.345 0.229
O35 O 0.500 0.636 0.947
O36 O 0.500 0.864 0.447
O37 O 0.504 0.645 0.671
O38 O 0.504 0.860 0.171
O39 O 0.513 0.145 0.009
O40 O 0.513 0.369 0.509
O41 O 0.518 0.691 0.342
O42 O 0.518 0.827 0.842
O43 O 0.541 0.694 0.066
O44 O 0.541 0.846 0.566
O45 O 0.631 0.145 0.509
O46 O 0.631 0.487 0.009
O47 O 0.655 0.146 0.229
O48 O 0.655 0.508 0.729
O49 O 0.677 0.162 0.829
O50 O 0.677 0.514 0.329
O51 O 0.701 0.170 0.113
O52 O 0.701 0.531 0.613
O53 O 0.802 0.832 0.280
O54 O 0.802 0.970 0.780
O55 O 0.814 0.826 0.999
O56 O 0.814 0.987 0.499
O57 O 0.826 0.044 0.897
O58 O 0.826 0.781 0.397
O59 O 0.830 0.299 0.613
O60 O 0.830 0.531 0.113
O61 O 0.838 0.323 0.329
O62 O 0.838 0.514 0.829
O63 O 0.846 0.035 0.177
O64 O 0.846 0.811 0.677
O65 O 0.854 0.345 0.729
O66 O 0.854 0.508 0.229
O67 O 0.855 0.369 0.009
O68 O 0.855 0.487 0.509
O69 O 0.956 0.174 0.397
O70 O 0.956 0.781 0.897
O71 O 0.965 0.154 0.677
O72 O 0.965 0.811 0.177
```

Summary:
- total energy (eV per atom) = -7.216